1.
Cs3GaO3 | PBE | relaxed

## Properties
The value obtained for the total energy is -4.3933 eV/atom. For the offset from the most stable computed form, the calculation gives 41 meV per atom. The calculation puts the magnetic moment at 0.000 μB/atom.

Unit cell a=9.3301 b=9.3301 c=9.3301 alpha=90.00 beta=90.00 gamma=90.00
Space group P2_13 (No. 198)
Inequivalent atoms, fractional coordinates:
Cs 0.0101 0.0101 0.0101 (multiplicity 4)
Cs 0.2222 0.2778 0.7222 (multiplicity 4)
Cs 0.2450 0.7450 0.7550 (multiplicity 4)
Ga 0.0352 0.5352 0.9648 (multiplicity 4)
O 0.0142 0.1997 0.4436 (multiplicity 12)

2.
CsGaO2 | PBE | relaxed

## Properties
The value obtained for the total energy is -5.2125 eV/atom.

Unit cell a=5.8720 b=11.7714 c=16.8602 alpha=90.00 beta=90.00 gamma=90.00
Space group Pbca (No. 61)
Inequivalent atoms, fractional coordinates:
Cs 0.2001 0.2371 0.1861 (multiplicity 8)
Cs 0.2465 0.0129 0.5632 (multiplicity 8)
Ga 0.2189 0.2402 0.4367 (multiplicity 8)
Ga 0.2416 0.0092 0.8119 (multiplicity 8)
O 0.0381 0.5107 0.2270 (multiplicity 8)
O 0.0608 0.7170 0.0115 (multiplicity 8)
O 0.1890 0.1551 0.8537 (multiplicity 8)
O 0.1939 0.5996 0.3921 (multiplicity 8)

3.
Cs3GaO3 | PBE | relaxed

## Properties
The value obtained for the total energy is -4.4343 eV/atom. For the offset from the most stable computed form, the calculation gives 0 meV per atom.

Unit cell a=8.1096 b=7.2626 c=11.6067 alpha=90.00 beta=96.92 gamma=90.00
Space group P2_1/c (No. 14)
Inequivalent atoms, fractional coordinates:
Cs 0.0446 0.1271 0.1553 (multiplicity 4)
Cs 0.3434 0.1712 0.9273 (multiplicity 4)
Cs 0.3720 0.6785 0.8044 (multiplicity 4)
Ga 0.1481 0.5776 0.0634 (multiplicity 4)
O 0.0910 0.0566 0.4170 (multiplicity 4)
O 0.2326 0.6877 0.5392 (multiplicity 4)
O 0.2793 0.0504 0.6800 (multiplicity 4)

4.
Cs2GaP3O10 | PBE | relaxed

## Properties
The value obtained for the total energy is -6.6360 eV/atom. The calculation puts the magnetic moment at 0.000 μB/atom.

Unit cell a=12.5050 b=9.1622 c=9.6890 alpha=90.00 beta=95.18 gamma=90.00
Space group P2_1/c (No. 14)
Inequivalent atoms, fractional coordinates:
Cs 0.0394 0.1036 0.2353 (multiplicity 4)
Cs 0.3524 0.1203 0.9945 (multiplicity 4)
Ga 0.3473 0.6485 0.8559 (multiplicity 4)
P 0.1891 0.7146 0.5692 (multiplicity 4)
P 0.2410 0.0335 0.5815 (multiplicity 4)
P 0.4519 0.5827 0.1790 (multiplicity 4)
O 0.0736 0.6672 0.5551 (multiplicity 4)
O 0.1768 0.1611 0.6212 (multiplicity 4)
O 0.1874 0.6146 0.1283 (multiplicity 4)
O 0.2417 0.7191 0.4315 (multiplicity 4)
O 0.2593 0.6281 0.6794 (multiplicity 4)
O 0.2648 0.0225 0.4301 (multiplicity 4)
O 0.3556 0.0406 0.6752 (multiplicity 4)
O 0.4337 0.6837 0.3007 (multiplicity 4)
O 0.4444 0.6573 0.0378 (multiplicity 4)
O 0.4455 0.5033 0.7810 (multiplicity 4)

5.
CsGaS2O8 | PBE | relaxed

## Properties
The value obtained for the total energy is -5.8990 eV/atom. The calculation puts the magnetic moment at 0.000 μB/atom.

Unit cell a=4.9267 b=4.9267 c=8.8304 alpha=90.00 beta=90.00 gamma=120.00
Space group P321 (No. 150)
Inequivalent atoms, fractional coordinates:
Cs 0.0000 0.0000 0.0000 (multiplicity 1)
Ga 0.0000 0.0000 0.5000 (multiplicity 1)
S 0.3333 0.6667 0.6993 (multiplicity 2)
O 0.0885 0.3505 0.6435 (multiplicity 6)
O 0.3333 0.6667 0.8646 (multiplicity 2)

6.
Cs3GaP2 | PBE | relaxed

## Properties
The value obtained for the total energy is -3.1563 eV/atom. The calculation puts the magnetic moment at 0.000 μB/atom.

Unit cell a=11.3791 b=8.8562 c=19.2883 alpha=90.00 beta=100.37 gamma=90.00
Space group P2_1/c (No. 14)
Inequivalent atoms, fractional coordinates:
Cs 0.0795 0.0515 0.2414 (multiplicity 4)
Cs 0.1496 0.5319 0.9681 (multiplicity 4)
Cs 0.2612 0.0964 0.9234 (multiplicity 4)
Cs 0.2892 0.1210 0.6600 (multiplicity 4)
Cs 0.3623 0.7477 0.2920 (multiplicity 4)
Cs 0.3767 0.5803 0.6105 (multiplicity 4)
Ga 0.0456 0.6178 0.5560 (multiplicity 4)
Ga 0.4613 0.0551 0.4246 (multiplicity 4)
P 0.0472 0.1510 0.0633 (multiplicity 4)
P 0.1047 0.7076 0.1399 (multiplicity 4)
P 0.4016 0.1401 0.3124 (multiplicity 4)
P 0.4949 0.6978 0.9689 (multiplicity 4)

7.
CsGaS3 | PBE | relaxed

## Properties
The value obtained for the total energy is -4.1001 eV/atom.

Unit cell a=7.7462 b=12.7374 c=6.5482 alpha=90.00 beta=107.59 gamma=90.00
Space group P2_1/c (No. 14)
Inequivalent atoms, fractional coordinates:
Cs 0.2472 0.0829 0.2191 (multiplicity 4)
Ga 0.3096 0.7292 0.3566 (multiplicity 4)
S 0.0600 0.6724 0.8694 (multiplicity 4)
S 0.1921 0.5856 0.1444 (multiplicity 4)
S 0.4798 0.6762 0.6880 (multiplicity 4)

8.
CsGa3S5 | PBE | relaxed

## Properties
The value obtained for the total energy is -4.2853 eV/atom.

Unit cell a=10.9590 b=12.9588 c=7.0661 alpha=90.00 beta=91.30 gamma=90.00
Space group P2_1/c (No. 14)
Inequivalent atoms, fractional coordinates:
Cs 0.1412 0.0832 0.3650 (multiplicity 4)
Ga 0.1719 0.6999 0.4831 (multiplicity 4)
Ga 0.3715 0.0373 0.8966 (multiplicity 4)
Ga 0.4847 0.7254 0.2643 (multiplicity 4)
S 0.0685 0.7019 0.7618 (multiplicity 4)
S 0.1849 0.5339 0.3749 (multiplicity 4)
S 0.3383 0.1888 0.7469 (multiplicity 4)
S 0.3609 0.7099 0.9959 (multiplicity 4)
S 0.4558 0.0531 0.2075 (multiplicity 4)

9.
Cs6GaSb3 | PBE | relaxed

## Properties
The value obtained for the total energy is -2.4805 eV/atom.

Unit cell a=11.2280 b=6.5883 c=13.0027 alpha=90.00 beta=101.34 gamma=90.00
Space group P2_1/m (No. 11)
Inequivalent atoms, fractional coordinates:
Cs 0.0410 0.2500 0.0784 (multiplicity 2)
Cs 0.0607 0.2500 0.4554 (multiplicity 2)
Cs 0.2431 0.7500 0.7735 (multiplicity 2)
Cs 0.3628 0.2500 0.9776 (multiplicity 2)
Cs 0.3725 0.2500 0.3210 (multiplicity 2)
Cs 0.4159 0.2500 0.6314 (multiplicity 2)
Ga 0.1775 0.7500 0.2794 (multiplicity 2)
Sb 0.0637 0.2500 0.7692 (multiplicity 2)
Sb 0.2846 0.7500 0.4828 (multiplicity 2)
Sb 0.3107 0.7500 0.1253 (multiplicity 2)

10.
Cs4Ga2Se5 | PBE | relaxed

## Properties
The value obtained for the total energy is -3.5133 eV/atom.

Unit cell a=8.1190 b=9.5372 c=11.4722 alpha=76.21 beta=85.73 gamma=80.88
Space group P-1 (No. 2)
Inequivalent atoms, fractional coordinates:
Cs 0.0545 0.1070 0.2507 (multiplicity 2)
Cs 0.2005 0.5784 0.3676 (multiplicity 2)
Cs 0.4214 0.7896 0.0002 (multiplicity 2)
Cs 0.4207 0.8265 0.5877 (multiplicity 2)
Ga 0.0948 0.4132 0.9012 (multiplicity 2)
Ga 0.2748 0.2199 0.7101 (multiplicity 2)
Se 0.0957 0.1597 0.8992 (multiplicity 2)
Se 0.1496 0.1916 0.5359 (multiplicity 2)
Se 0.1938 0.4569 0.0857 (multiplicity 2)
Se 0.2657 0.4861 0.7194 (multiplicity 2)
Se 0.4482 0.9120 0.2641 (multiplicity 2)